Record 1
The following is a GGA-PBE calculation of a relaxed structure of Na7TiZn3P5SO24, from the Materials Project.

Summary:
V in Å³ per atom: 12.44
Magnetization in μB per cell: 0.0
Mass density in g cm⁻³: 3.2
Formation energy from the elements in eV per atom: -2.508

CIF file:
```
data_Na7TiZn3P5SO24
_chemical_formula_sum 'Na21 Ti3 Zn9 P15 S3 O72'
_symmetry_space_group_name_H-M 'P 1'
_symmetry_Int_Tables_number 1
_symmetry_space_group_name_Hall 'P 1'
_cell_length_a 9.0191
_cell_length_b 9.0086
_cell_length_c 21.7560
_cell_angle_alpha 89.35
_cell_angle_beta 90.44
_cell_angle_gamma 120.01
loop_
_atom_site_label
_atom_site_fract_x
_atom_site_fract_y
_atom_site_fract_z
O1 0.1925 0.9740 0.1906
O2 0.6356 0.4901 0.9209
O3 0.8133 0.8116 0.9114
O4 0.9777 0.1855 0.3014
O5 0.7587 0.9501 0.6895
O6 0.2153 0.2000 0.8100
O7 0.8397 0.3246 0.5306
O8 0.2063 0.0325 0.5823
O9 0.7847 0.8054 0.1933
O10 0.3192 0.4455 0.4768
O11 0.1877 0.1817 0.4136
O12 0.1832 0.9900 0.9117
O13 0.0148 0.2180 0.1901
O14 0.4643 0.1423 0.5241
O15 0.0149 0.1939 0.9114
O16 0.6893 0.5314 0.2488
O17 0.8484 0.3212 0.2476
O18 0.6718 0.1527 0.7433
O19 0.8357 0.0313 0.0825
O20 0.8136 0.9894 0.4113
O21 0.5039 0.1443 0.9217
O22 0.4840 0.3385 0.7474
O23 0.4715 0.3592 0.1436
O24 0.1874 0.2289 0.6937
O25 0.9726 0.1699 0.5831
O26 0.5516 0.8596 0.4752
O27 0.5539 0.6841 0.9787
O28 0.5070 0.3503 0.4219
O29 0.5167 0.8298 0.7611
O30 0.1602 0.4674 0.2525
O31 0.3550 0.8589 0.8661
O32 0.3173 0.8337 0.2540
O33 0.3704 0.4816 0.3605
O34 0.5266 0.6813 0.2517
O35 0.6447 0.1099 0.1459
O36 0.4792 0.3215 0.0280
O37 0.5064 0.6395 0.8639
O38 0.1464 0.6946 0.4735
O39 0.1368 0.6464 0.0806
O40 0.1409 0.4980 0.5788
O41 0.5222 0.8998 0.3601
O42 0.8832 0.3551 0.6448
O43 0.9818 0.7911 0.8074
O44 0.3504 0.4934 0.0777
O45 0.3100 0.8618 0.9801
O46 0.1372 0.4495 0.9782
O47 0.8410 0.5194 0.0276
O48 0.6432 0.5224 0.6421
O49 0.2117 0.0188 0.3072
O50 0.5093 0.8583 0.0788
O51 0.6520 0.1537 0.4257
O52 0.8185 0.0292 0.8024
O53 0.5064 0.6493 0.5783
O54 0.3534 0.8675 0.5791
O55 0.6798 0.1626 0.0311
O56 0.8572 0.3644 0.9218
O57 0.1030 0.6352 0.3576
O58 0.8013 0.7903 0.3056
O59 0.8751 0.5218 0.1440
O60 0.4806 0.1619 0.2477
O61 0.0318 0.8065 0.6909
O62 0.8514 0.5203 0.7494
O63 0.8330 0.7994 0.5803
O64 0.6715 0.5176 0.5267
O65 0.3135 0.4888 0.7584
O66 0.1712 0.6850 0.7586
O67 0.1976 0.1675 0.0807
O68 0.8475 0.5021 0.4244
O69 0.1313 0.4952 0.8633
O70 0.4795 0.1265 0.6358
O71 0.9624 0.7983 0.0813
O72 0.9999 0.8187 0.4136
Na1 0.2925 0.9557 0.0808
Na2 0.6488 0.6375 0.7475
Na3 0.3271 0.0208 0.4125
Na4 0.3230 0.2955 0.9089
Na5 0.3347 0.6740 0.6662
Na6 0.0428 0.3374 0.0783
Na7 0.6250 0.9982 0.2512
Na8 0.3681 0.3611 0.2530
Na9 0.3323 0.6724 0.1629
Na10 0.9916 0.3533 0.7489
Na11 0.2935 0.3389 0.5865
Na12 0.6708 0.3232 0.3328
Na13 0.9953 0.0157 0.4974
Na14 0.0357 0.7037 0.5876
Na15 0.6713 0.9563 0.5843
Na16 0.9837 0.0005 0.9929
Na17 0.0079 0.6397 0.2491
Na18 0.6510 0.3020 0.8269
Na19 0.6622 0.7037 0.0779
Na20 0.6941 0.6768 0.4167
Na21 0.9764 0.6788 0.9089
S1 0.3757 0.0425 0.5816
S2 0.7020 0.7032 0.2498
S3 0.0005 0.2965 0.2480
P1 0.3375 0.9632 0.9202
P2 0.0073 0.7049 0.7516
P3 0.6297 0.6642 0.9191
P4 0.3385 0.3658 0.4180
P5 0.0353 0.3711 0.9190
P6 0.9628 0.3358 0.5859
P7 0.3732 0.3356 0.0830
P8 0.9565 0.6234 0.0846
P9 0.3001 0.3052 0.7523
P10 0.2989 0.9972 0.2499
P11 0.6370 0.9728 0.4182
P12 0.6958 0.9967 0.7494
P13 0.6647 0.6259 0.5833
P14 0.0323 0.6659 0.4172
P15 0.6674 0.0373 0.0853
Zn1 0.3372 0.6672 0.0110
Zn2 0.3319 0.6567 0.5088
Zn3 0.9970 0.0028 0.8460
Zn4 0.0095 0.9984 0.1457
Zn5 0.9948 0.0008 0.6632
Zn6 0.6675 0.3356 0.6852
Zn7 0.3300 0.6733 0.3300
Zn8 0.6562 0.3227 0.1753
Zn9 0.0103 0.0102 0.3527
Ti1 0.6805 0.3419 0.4803
Ti2 0.6680 0.3300 0.9808
Ti3 0.3353 0.6746 0.8163
```

---

Record 2
The following is a GGA-PBE calculation of a relaxed structure of SiO2, from the Materials Project.

Summary:
V in Å³ per atom: 11.41
Magnetization in μB per cell: 0.0
Mass density in g cm⁻³: 2.9
Formation energy from the elements in eV per atom: -3.076

CIF file:
```
data_SiO2
_chemical_formula_sum 'Si8 O16'
_symmetry_space_group_name_H-M 'P 1'
_symmetry_Int_Tables_number 1
_symmetry_space_group_name_Hall 'P 1'
_cell_length_a 4.2244
_cell_length_b 7.6268
_cell_length_c 8.4974
_cell_angle_alpha 90.00
_cell_angle_beta 90.00
_cell_angle_gamma 90.00
loop_
_atom_site_label
_atom_site_fract_x
_atom_site_fract_y
_atom_site_fract_z
Si1 0.2316 0.3808 0.1154
Si2 0.2316 0.6192 0.3846
Si3 0.7684 0.8808 0.3846
Si4 0.2316 0.1192 0.6154
Si5 0.2316 0.8808 0.8846
Si6 0.7684 0.3808 0.6154
Si7 0.7684 0.6192 0.8846
Si8 0.7684 0.1192 0.1154
O1 0.5000 0.7500 0.4681
O2 0.5946 0.5000 0.7500
O3 0.0000 0.5000 0.5000
O4 0.0000 0.7500 0.2877
O5 0.0000 0.5000 0.0000
O6 0.0000 0.2500 0.2123
O7 0.5000 0.2500 0.0319
O8 0.0000 0.0000 0.0000
O9 0.4054 0.0000 0.7500
O10 0.5000 0.7500 0.9681
O11 0.0000 0.0000 0.5000
O12 0.5000 0.2500 0.5319
O13 0.4054 0.5000 0.2500
O14 0.5946 0.0000 0.2500
O15 0.0000 0.7500 0.7877
O16 0.0000 0.2500 0.7123
```

---

Record 3
The following is a GGA-PBE calculation of a relaxed structure of LiAg2F4, from the Materials Project.

Summary:
V in Å³ per atom: 14.68
Magnetization in μB per cell: 4.0
E above lowest polymorph in eV/f.u.: 0.16
Mass density in g cm⁻³: 4.8
Formation energy from the elements in eV per atom: -1.821

CIF file:
```
data_LiAg2F4
_chemical_formula_sum 'Li4 Ag8 F16'
_symmetry_space_group_name_H-M 'P 1'
_symmetry_Int_Tables_number 1
_symmetry_space_group_name_Hall 'P 1'
_cell_length_a 7.0005
_cell_length_b 6.0644
_cell_length_c 11.2047
_cell_angle_alpha 59.80
_cell_angle_beta 90.00
_cell_angle_gamma 90.00
loop_
_atom_site_label
_atom_site_fract_x
_atom_site_fract_y
_atom_site_fract_z
F1 0.6570 0.1569 0.3993
F2 0.5262 0.7578 0.9892
F3 0.1245 0.6754 0.9001
F4 0.7446 0.7596 0.2202
F5 0.2554 0.2404 0.7798
F6 0.9738 0.7578 0.4892
F7 0.1570 0.8431 0.1007
F8 0.7554 0.7596 0.7202
F9 0.3430 0.8431 0.6007
F10 0.8755 0.3246 0.0999
F11 0.3755 0.6754 0.4001
F12 0.6245 0.3246 0.5999
F13 0.0262 0.2422 0.5108
F14 0.2446 0.2404 0.2798
F15 0.8430 0.1569 0.8993
F16 0.4738 0.2422 0.0108
Li1 0.7803 0.1030 0.5682
Li2 0.2197 0.8970 0.4318
Li3 0.7197 0.1030 0.0682
Li4 0.2803 0.8970 0.9318
Ag1 0.6706 0.7539 0.4456
Ag2 0.8294 0.7539 0.9456
Ag3 0.0080 0.5047 0.2765
Ag4 0.1706 0.2461 0.0544
Ag5 0.5080 0.4953 0.2235
Ag6 0.3294 0.2461 0.5544
Ag7 0.9920 0.4953 0.7235
Ag8 0.4920 0.5047 0.7765
```

---

- mass density of number 2 (SiO2)?
  2.9 g cm⁻³